1.
# K4MgMn4O8 (PBE+U, relaxed)
# ΔE to the lowest computed polymorph: 4.4 meV per atom
# spin magnetization: 18.0 Bohr magnetons per cell
# E: -101.8 eV/cell
# ΔE_f: -180.0 kJ/mol of atoms
data_K4MgMn4O8
_cell_length_a 3.137
_cell_length_b 6.383
_cell_length_c 14.995
_cell_angle_alpha 99.20
_cell_angle_beta 95.94
_cell_angle_gamma 90.56
_symmetry_space_group_name_H-M 'P 1'
_symmetry_Int_Tables_number 1
loop_
_symmetry_equiv_pos_as_xyz
'x,y,z'
loop_
_atom_site_label
_atom_site_type_symbol
_atom_site_fract_x
_atom_site_fract_y
_atom_site_fract_z
K1 K 0.000 0.000 0.000
K2 K 0.139 0.290 0.419
K3 K 0.372 0.013 0.774
K4 K 0.756 0.467 0.633
Mg1 Mg 0.543 0.419 0.200
Mn1 Mn 0.112 0.752 0.375
Mn2 Mn 0.412 0.535 0.853
Mn3 Mn 0.703 0.924 0.549
Mn4 Mn 0.993 0.499 0.019
O1 O 0.007 0.347 0.130
O2 O 0.189 0.713 0.527
O3 O 0.229 0.115 0.595
O4 O 0.486 0.687 0.998
O5 O 0.586 0.547 0.326
O6 O 0.630 0.956 0.406
O7 O 0.889 0.683 0.802
O8 O 0.923 0.332 0.881

---

2.
# K4MgMo2O8 (PBE+U, relaxed)
# ΔE to the lowest computed polymorph: 0.0 meV per atom
# spin magnetization: 2.0 Bohr magnetons per cell
# E: -87.0 eV/cell
# ΔE_f: -202.8 kJ/mol of atoms
data_K4MgMo2O8
_cell_length_a 6.039
_cell_length_b 6.909
_cell_length_c 8.260
_cell_angle_alpha 78.72
_cell_angle_beta 88.75
_cell_angle_gamma 65.66
_symmetry_space_group_name_H-M 'P 1'
_symmetry_Int_Tables_number 1
loop_
_symmetry_equiv_pos_as_xyz
'x,y,z'
loop_
_atom_site_label
_atom_site_type_symbol
_atom_site_fract_x
_atom_site_fract_y
_atom_site_fract_z
K1 K 0.000 0.000 0.000
K2 K 0.027 0.943 0.499
K3 K 0.348 0.331 0.860
K4 K 0.615 0.790 0.248
Mg1 Mg 0.863 0.436 0.578
Mo1 Mo 0.368 0.394 0.351
Mo2 Mo 0.594 0.722 0.790
O1 O 0.197 0.691 0.276
O2 O 0.205 0.314 0.536
O3 O 0.280 0.755 0.790
O4 O 0.414 0.214 0.206
O5 O 0.670 0.875 0.919
O6 O 0.683 0.362 0.424
O7 O 0.705 0.755 0.571
O8 O 0.795 0.412 0.819

---

3.
# KMgMoO3 (PBE+U, relaxed)
# ΔE to the lowest computed polymorph: 247.2 meV per atom
# spin magnetization: 3.0 Bohr magnetons per cell
# E: -32.2 eV/cell
# ΔE_f: -145.2 kJ/mol of atoms
data_KMgMoO3
_cell_length_a 4.188
_cell_length_b 4.188
_cell_length_c 4.995
_cell_angle_alpha 90.00
_cell_angle_beta 90.00
_cell_angle_gamma 90.00
_symmetry_space_group_name_H-M 'P 4/m m m'
_symmetry_Int_Tables_number 123
_symmetry_space_group_name_Hall '-P 4 2'
loop_
_atom_site_label
_atom_site_type_symbol
_atom_site_fract_x
_atom_site_fract_y
_atom_site_fract_z
K1 K 0.000 0.000 0.000
Mg1 Mg 0.000 0.000 0.500
Mo1 Mo 0.500 0.500 0.500
O1 O 0.000 0.500 0.500
O2 O 0.500 0.500 0.000

---

4.
# KMgMoO3 (PBE+U, relaxed)
# ΔE to the lowest computed polymorph: 0.0 meV per atom
# spin magnetization: 6.0 Bohr magnetons per cell
# E: -67.3 eV/cell
# ΔE_f: -169.0 kJ/mol of atoms
data_KMgMoO3
_cell_length_a 6.720
_cell_length_b 5.874
_cell_length_c 4.455
_cell_angle_alpha 90.00
_cell_angle_beta 100.18
_cell_angle_gamma 90.00
_symmetry_space_group_name_H-M 'C 1 m 1'
_symmetry_Int_Tables_number 8
loop_
_symmetry_equiv_pos_as_xyz
'x,y,z'
'x,-y,z'
'x+1/2,y+1/2,z'
'x+1/2,-y+1/2,z'
loop_
_atom_site_label
_atom_site_type_symbol
_atom_site_fract_x
_atom_site_fract_y
_atom_site_fract_z
K1 K 0.000 0.000 0.000
Mg1 Mg 0.327 0.000 0.674
Mo1 Mo 0.133 0.500 0.367
O1 O 0.106 0.500 0.879
O2 O 0.362 0.242 0.395